Entry from Materials Project: a geometry-optimized CsI structure (PBE).

The space group is Pm-3m (No. 221) and the conventional cell measures 4.6652, 4.6652 and 4.6652 Å, with angles of 90.00, 90.00 and 90.00 degrees. Symmetry generates all atoms from Cs at (0.0000, 0.0000, 0.0000) and I at (0.5000, 0.5000, 0.5000).

Its total magnetization is 0.0 μB/cell.

Entry from Materials Project: a geometry-optimized CdTe structure (PBE).

The space group is P6_3mc (No. 186) and the conventional cell measures 4.6843, 4.6843 and 7.6737 Å, with angles of 90.00, 90.00 and 120.00 degrees. Symmetry generates all atoms from Cd at (0.3333, 0.6667, 0.0000) and Te at (0.3333, 0.6667, 0.6252).

As for the piezoelectric modulus e_max: 0.1 C/m2.

Entry from Materials Project: a geometry-optimized Mo2WSe2S4 structure (PBE).

The space group is P3m1 (No. 156) and the conventional cell measures 3.2310, 3.2310 and 29.6583 Å, with angles of 90.00, 90.00 and 120.00 degrees. Symmetry generates all atoms from Mo at (0.0000, 0.0000, 0.0000), Mo at (0.0000, 0.0000, 0.4627), W at (0.3333, 0.6667, 0.2313), Se at (0.3333, 0.6667, 0.4051), Se at (0.3333, 0.6667, 0.5202), S at (0.0000, 0.0000, 0.1788), S at (0.0000, 0.0000, 0.2839), S at (0.3333, 0.6667, 0.0524) and S at (0.3333, 0.6667, 0.9476).

Its total magnetization is 0.0 μB/cell. As for the distance to the lowest polymorph of the same formula: 1 meV per atom.

Entry from Materials Project: a geometry-optimized ErIr structure (PBE).

The space group is Pm-3m (No. 221) and the conventional cell measures 3.3980, 3.3980 and 3.3980 Å, with angles of 90.00, 90.00 and 90.00 degrees. Symmetry generates all atoms from Er at (0.0000, 0.0000, 0.0000) and Ir at (0.5000, 0.5000, 0.5000).

Entry from Materials Project: a geometry-optimized SrPrMgRuO6 structure (PBE).

The space group is Pc (No. 7) and the conventional cell measures 5.6019, 5.6784 and 9.6915 Å, with angles of 90.00, 125.14 and 90.00 degrees. Symmetry generates all atoms from Sr at (0.0000, 0.2202, 0.0000), Pr at (0.5167, 0.2991, 0.4997), Mg at (0.2549, 0.2436, 0.7497), Ru at (0.7553, 0.2476, 0.2510), O at (0.0864, 0.2368, 0.4944), O at (0.4485, 0.2727, 0.0070), O at (0.5134, 0.0489, 0.2943), O at (0.5782, 0.4783, 0.7897), O at (0.9089, 0.0365, 0.7073) and O at (0.9899, 0.4670, 0.2144).

Its total magnetization is 6.0 μB/cell.

Energy relative to the elements, record by record: -1703, -663, -997, -922, -2773 meV/atom